Entry 1:
K3UH5C5O12 | GGA-PBE | optimized geometry

Properties
Symmetry: P-1 (2)
Energy relative to the elements in eV per atom: -1.4599

Cell: 9.939 10.394 10.780 Å, 68.55 86.36 61.62°
Element x y z (fractional)
1 K 0.031 0.443 0.344
2 K 0.270 0.689 0.427
3 K 0.356 0.848 0.957
4 K 0.644 0.152 0.043
5 K 0.730 0.311 0.573
6 K 0.969 0.557 0.656
7 U 0.328 0.038 0.258
8 U 0.672 0.962 0.742
9 H 0.063 0.798 0.183
10 H 0.097 0.851 0.865
11 H 0.320 0.523 0.086
12 H 0.403 0.575 0.728
13 H 0.404 0.653 0.702
14 H 0.596 0.347 0.298
15 H 0.597 0.425 0.272
16 H 0.680 0.477 0.914
17 H 0.903 0.149 0.135
18 H 0.937 0.202 0.817
19 C 0.033 0.055 0.456
20 C 0.077 0.321 0.996
21 C 0.232 0.318 0.954
22 C 0.294 0.186 0.661
23 C 0.357 0.289 0.559
24 C 0.643 0.711 0.441
25 C 0.706 0.814 0.339
26 C 0.768 0.682 0.046
27 C 0.923 0.679 0.004
28 C 0.967 0.945 0.544
29 O 0.031 0.804 0.556
30 O 0.044 0.596 0.084
31 O 0.094 0.225 0.120
32 O 0.152 0.987 0.401
33 O 0.153 0.236 0.658
34 O 0.236 0.407 0.842
35 O 0.265 0.427 0.483
36 O 0.321 0.167 0.338
37 O 0.330 0.904 0.182
38 O 0.349 0.212 0.047
39 O 0.402 0.052 0.744
40 O 0.495 0.780 0.434
41 O 0.505 0.220 0.566
42 O 0.598 0.948 0.256
43 O 0.651 0.788 0.953
44 O 0.670 0.096 0.818
45 O 0.679 0.833 0.662
46 O 0.735 0.573 0.517
47 O 0.764 0.593 0.158
48 O 0.847 0.764 0.342
49 O 0.848 0.013 0.599
50 O 0.906 0.775 0.880
51 O 0.956 0.404 0.916
52 O 0.969 0.196 0.444

=====

Entry 2:
K4ZrH10C8O21 | GGA-PBE | optimized geometry

Properties
Symmetry: P2_1/c (14)
Energy relative to the elements in eV per atom: -1.5864

Cell: 11.082 12.634 16.536 Å, 90.00 96.56 90.00°
Element x y z (fractional)
1 K 0.005 0.077 0.317
2 K 0.005 0.423 0.817
3 K 0.097 0.660 0.593
4 K 0.097 0.840 0.093
5 K 0.366 0.653 0.761
6 K 0.366 0.847 0.261
7 K 0.484 0.738 0.994
8 K 0.484 0.762 0.494
9 K 0.516 0.238 0.506
10 K 0.516 0.262 0.006
11 K 0.634 0.153 0.739
12 K 0.634 0.347 0.239
13 K 0.903 0.160 0.907
14 K 0.903 0.340 0.407
15 K 0.995 0.577 0.183
16 K 0.995 0.923 0.683
17 Zr 0.249 0.156 0.672
18 Zr 0.249 0.344 0.172
19 Zr 0.751 0.656 0.828
20 Zr 0.751 0.844 0.328
21 H 0.014 0.155 0.115
22 H 0.014 0.345 0.615
23 H 0.059 0.553 0.416
24 H 0.059 0.947 0.916
25 H 0.131 0.676 0.776
26 H 0.131 0.824 0.276
27 H 0.180 0.705 0.276
28 H 0.180 0.795 0.776
29 H 0.230 0.631 0.986
30 H 0.230 0.869 0.486
31 H 0.245 0.585 0.899
32 H 0.245 0.915 0.399
33 H 0.289 0.630 0.397
34 H 0.289 0.870 0.897
35 H 0.325 0.504 0.496
36 H 0.325 0.996 0.996
37 H 0.395 0.612 0.341
38 H 0.395 0.888 0.841
39 H 0.405 0.555 0.568
40 H 0.405 0.945 0.068
41 H 0.595 0.055 0.932
42 H 0.595 0.445 0.432
43 H 0.605 0.112 0.159
44 H 0.605 0.388 0.659
45 H 0.675 0.004 0.004
46 H 0.675 0.496 0.504
47 H 0.711 0.130 0.103
48 H 0.711 0.370 0.603
49 H 0.755 0.085 0.601
50 H 0.755 0.415 0.101
51 H 0.770 0.131 0.514
52 H 0.770 0.369 0.014
53 H 0.820 0.205 0.224
54 H 0.820 0.295 0.724
55 H 0.869 0.176 0.724
56 H 0.869 0.324 0.224
57 H 0.941 0.053 0.084
58 H 0.941 0.447 0.584
59 H 0.986 0.655 0.385
60 H 0.986 0.845 0.885
61 C 0.060 0.143 0.524
62 C 0.060 0.357 0.024
63 C 0.182 0.165 0.489
64 C 0.182 0.335 0.989
65 C 0.190 0.094 0.842
66 C 0.190 0.406 0.342
67 C 0.252 0.103 0.183
68 C 0.252 0.397 0.683
69 C 0.327 0.581 0.140
70 C 0.327 0.919 0.640
71 C 0.329 0.112 0.853
72 C 0.329 0.388 0.353
73 C 0.387 0.133 0.177
74 C 0.387 0.367 0.677
75 C 0.447 0.517 0.126
76 C 0.447 0.983 0.626
77 C 0.553 0.017 0.374
78 C 0.553 0.483 0.874
79 C 0.613 0.633 0.323
80 C 0.613 0.867 0.823
81 C 0.671 0.612 0.647
82 C 0.671 0.888 0.147
83 C 0.673 0.081 0.360
84 C 0.673 0.419 0.860
85 C 0.748 0.603 0.317
86 C 0.748 0.897 0.817
87 C 0.810 0.594 0.658
88 C 0.810 0.906 0.158
89 C 0.818 0.665 0.011
90 C 0.818 0.835 0.511
91 C 0.940 0.643 0.976
92 C 0.940 0.857 0.476
93 O 0.033 0.623 0.433
94 O 0.033 0.877 0.933
95 O 0.037 0.639 0.021
96 O 0.037 0.861 0.521
97 O 0.073 0.133 0.603
98 O 0.073 0.367 0.103
99 O 0.122 0.749 0.745
100 O 0.122 0.751 0.245
101 O 0.138 0.064 0.901
102 O 0.138 0.436 0.401
103 O 0.139 0.113 0.770
104 O 0.139 0.387 0.270
105 O 0.163 0.575 0.821
106 O 0.163 0.925 0.321
107 O 0.181 0.186 0.185
108 O 0.181 0.314 0.685
109 O 0.185 0.184 0.416
110 O 0.185 0.316 0.916
111 O 0.220 0.010 0.185
112 O 0.220 0.490 0.685
113 O 0.245 0.521 0.163
114 O 0.245 0.979 0.663
115 O 0.276 0.165 0.545
116 O 0.276 0.335 0.045
117 O 0.294 0.609 0.954
118 O 0.294 0.891 0.454
119 O 0.324 0.657 0.350
120 O 0.324 0.843 0.850
121 O 0.326 0.678 0.129
122 O 0.326 0.822 0.629
123 O 0.334 0.570 0.528
124 O 0.334 0.930 0.028
125 O 0.373 0.136 0.786
126 O 0.373 0.364 0.286
127 O 0.390 0.103 0.921
128 O 0.390 0.397 0.421
129 O 0.405 0.233 0.167
130 O 0.405 0.267 0.667
131 O 0.461 0.054 0.392
132 O 0.461 0.446 0.892
133 O 0.466 0.063 0.180
134 O 0.466 0.437 0.680
135 O 0.534 0.563 0.320
136 O 0.534 0.937 0.820
137 O 0.539 0.554 0.108
138 O 0.539 0.946 0.608
139 O 0.595 0.733 0.333
140 O 0.595 0.767 0.833
141 O 0.610 0.603 0.579
142 O 0.610 0.897 0.079
143 O 0.627 0.636 0.714
144 O 0.627 0.864 0.214
145 O 0.666 0.070 0.972
146 O 0.666 0.430 0.472
147 O 0.674 0.178 0.371
148 O 0.674 0.322 0.871
149 O 0.676 0.157 0.150
150 O 0.676 0.343 0.650
151 O 0.706 0.109 0.546
152 O 0.706 0.391 0.046
153 O 0.724 0.665 0.955
154 O 0.724 0.835 0.455
155 O 0.755 0.021 0.337
156 O 0.755 0.479 0.837
157 O 0.780 0.510 0.315
158 O 0.780 0.990 0.815
159 O 0.815 0.684 0.084
160 O 0.815 0.816 0.584
161 O 0.819 0.686 0.315
162 O 0.819 0.814 0.815
163 O 0.837 0.075 0.679
164 O 0.837 0.425 0.179
165 O 0.861 0.613 0.730
166 O 0.861 0.887 0.230
167 O 0.862 0.564 0.599
168 O 0.862 0.936 0.099
169 O 0.878 0.249 0.755
170 O 0.878 0.251 0.255
171 O 0.927 0.633 0.897
172 O 0.927 0.867 0.397
173 O 0.963 0.139 0.479
174 O 0.963 0.361 0.979
175 O 0.967 0.123 0.067
176 O 0.967 0.377 0.567